No. 1
Li9Mn2Co5O16 after structural relaxation, computed with PBE with a Hubbard U.

Lattice parameters (Å, degrees): 5.8846 6.4426 7.8362 85.85 76.03 76.70
With the nearest neighbours (Å) after each atom.
Fractional positions:
1 Li 0.0000 0.0000 0.0000  6 O 2.03-2.15
2 Li 0.0601 0.1246 0.6313  6 O 2.07-2.28
3 Li 0.1879 0.3668 0.8760  6 O 2.06-2.18
4 Li 0.3129 0.6327 0.1230  6 O 2.09-2.30
5 Li 0.4331 0.8747 0.3685  5 O 2.03-2.13
6 Li 0.5669 0.1253 0.6315  5 O 2.03-2.13
7 Li 0.6871 0.3673 0.8770  6 O 2.09-2.30
8 Li 0.8121 0.6332 0.1240  6 O 2.06-2.18
9 Li 0.9399 0.8754 0.3687  6 O 2.07-2.28
10 Mn 0.1192 0.2473 0.2445  6 O 1.90-2.02
11 Mn 0.8808 0.7527 0.7555  6 O 1.90-2.02
12 Co 0.2483 0.5010 0.4982  4 O 1.90-1.95
13 Co 0.3769 0.7527 0.7544  4 O 1.87-1.96
14 Co 0.5000 0.0000 0.0000  6 O 1.95-1.97
15 Co 0.6231 0.2473 0.2456  4 O 1.87-1.96
16 Co 0.7517 0.4990 0.5018  4 O 1.90-1.95
17 O 0.0179 0.5484 0.3179  2 Co 1.92-2.14, 1 Mn 1.98, 2 Li 2.10-2.13
18 O 0.0932 0.6946 0.9119  1 Mn 1.91, 1 Co 1.92, 3 Li 2.04-2.13
19 O 0.1473 0.7981 0.5664  1 Mn 1.94, 1 Co 1.94, 3 Li 2.12-2.16
20 O 0.2256 0.9552 0.1851  1 Mn 1.90, 1 Co 1.95, 3 Li 2.07-2.09
21 O 0.3047 0.0366 0.8230  2 Co 1.87-1.97, 2 Li 2.03
22 O 0.3317 0.2084 0.4171  2 Co 1.95-1.96, 1 Mn 2.02, 2 Li 2.13-2.15
23 O 0.3878 0.2998 0.0630  1 Mn 1.93, 1 Co 1.95, 3 Li 2.06-2.15
24 O 0.4802 0.4578 0.6786  2 Co 1.90-1.95, 1 Li 2.12
25 O 0.5198 0.5422 0.3214  2 Co 1.90-1.95, 1 Li 2.12
26 O 0.6122 0.7002 0.9370  1 Mn 1.93, 1 Co 1.95, 3 Li 2.06-2.15
27 O 0.6683 0.7916 0.5829  2 Co 1.95-1.96, 1 Mn 2.02, 2 Li 2.13-2.15
28 O 0.6953 0.9634 0.1770  2 Co 1.87-1.97, 2 Li 2.03
29 O 0.7744 0.0448 0.8149  1 Mn 1.90, 1 Co 1.95, 3 Li 2.07-2.09
30 O 0.8527 0.2019 0.4336  1 Mn 1.94, 1 Co 1.94, 3 Li 2.12-2.16
31 O 0.9068 0.3054 0.0881  1 Mn 1.91, 1 Co 1.92, 3 Li 2.04-2.13
32 O 0.9821 0.4516 0.6821  2 Co 1.92-2.14, 1 Mn 1.98, 2 Li 2.10-2.13

Size of the total moment = 2.01 μB per cell
Calculated formation energy = -1.78 eV per atom

No. 2
Li4Fe3Ni3O12 after structural relaxation, computed with PBE with a Hubbard U.

Lattice parameters (Å, degrees): 5.9100 5.9566 6.5830 103.43 102.73 90.69
With the nearest neighbours (Å) after each atom.
Fractional positions:
1 Li 0.0000 0.0000 0.0000  6 O 2.08-2.28
2 Li 0.1715 0.6607 0.6599  6 O 2.07-2.19
3 Li 0.5000 0.0000 0.0000  6 O 2.13-2.15
4 Li 0.8285 0.3393 0.3401  6 O 2.07-2.19
5 Fe 0.1664 0.1694 0.6652  6 O 1.89-2.00
6 Fe 0.5000 0.5000 0.0000  6 O 1.95-2.10
7 Fe 0.8336 0.8306 0.3348  6 O 1.89-2.00
8 Ni 0.0000 0.5000 0.0000  6 O 2.03-2.10
9 Ni 0.3350 0.8300 0.3364  6 O 2.02-2.12
10 Ni 0.6650 0.1700 0.6636  6 O 2.02-2.12
11 O 0.0627 0.6122 0.3294  1 Fe 1.89, 2 Ni 2.04-2.06, 1 Li 2.08
12 O 0.0689 0.0663 0.3455  2 Fe 1.94-2.00, 1 Ni 2.12, 2 Li 2.16-2.17
13 O 0.2408 0.2441 0.9750  2 Fe 1.93-2.10, 2 Li 2.08-2.13, 1 Ni 2.10
14 O 0.2655 0.7262 0.0105  1 Fe 1.95, 2 Ni 2.03-2.04, 1 Li 2.15
15 O 0.3956 0.9484 0.6578  1 Fe 1.90, 2 Ni 2.02-2.04
16 O 0.4031 0.4049 0.6883  2 Fe 1.93-1.95, 1 Li 2.07, 1 Ni 2.11
17 O 0.5969 0.5951 0.3117  2 Fe 1.93-1.95, 1 Li 2.07, 1 Ni 2.11
18 O 0.6044 0.0516 0.3422  1 Fe 1.90, 2 Ni 2.02-2.04
19 O 0.7345 0.2738 0.9895  1 Fe 1.95, 2 Ni 2.03-2.04, 1 Li 2.15
20 O 0.7592 0.7559 0.0250  2 Fe 1.93-2.10, 2 Li 2.08-2.13, 1 Ni 2.10
21 O 0.9311 0.9337 0.6545  2 Fe 1.94-2.00, 1 Ni 2.12, 2 Li 2.16-2.17
22 O 0.9373 0.3878 0.6706  1 Fe 1.89, 2 Ni 2.04-2.06, 1 Li 2.08

Size of the total moment = 16.00 μB per cell
Calculated formation energy = -1.51 eV per atom

No. 3
LiNi5O10 after structural relaxation, computed with PBE with a Hubbard U.

Lattice parameters (Å, degrees): 4.9175 5.8187 6.4316 105.64 96.83 106.43
With the nearest neighbours (Å) after each atom.
Fractional positions:
1 Li 0.0000 0.0000 0.0000  6 O 2.12-2.14
2 Ni 0.0000 0.5000 0.0000  6 O 1.87-1.88
3 Ni 0.1994 0.8958 0.4029  6 O 1.86-1.89
4 Ni 0.4005 0.3041 0.7961  6 O 1.87-2.00
5 Ni 0.5995 0.6959 0.2039  6 O 1.87-2.00
6 Ni 0.8006 0.1042 0.5971  6 O 1.86-1.89
7 O 0.0819 0.4249 0.7159  3 Ni 1.87-1.96
8 O 0.0988 0.9826 0.6813  3 Ni 1.88-1.92
9 O 0.2776 0.8215 0.1203  3 Ni 1.86-2.00
10 O 0.2924 0.3705 0.0701  3 Ni 1.87-1.95
11 O 0.4932 0.2161 0.5170  3 Ni 1.88-1.89
12 O 0.5068 0.7839 0.4830  3 Ni 1.88-1.89
13 O 0.7076 0.6295 0.9299  3 Ni 1.87-1.95
14 O 0.7224 0.1785 0.8797  3 Ni 1.86-2.00
15 O 0.9012 0.0174 0.3187  3 Ni 1.88-1.92
16 O 0.9181 0.5751 0.2841  3 Ni 1.87-1.96

Size of the total moment = 1.00 μB per cell
Calculated formation energy = -0.89 eV per atom